1.
Na2Y2B2O7: relaxed, PBE-GGA.

Geometry as POSCAR:
```
Na2Y2B2O7
1.0
6.296 0.000 0.000
0.000 10.357 0.000
0.000 4.971 9.452
Na Y B O
8 8 8 28
Cartesian
4.846 7.711 5.779
1.698 2.438 3.673
1.450 7.616 3.673
4.598 12.890 5.779
2.788 5.086 4.948
5.936 5.063 4.503
3.508 10.242 4.503
0.360 10.264 4.948
6.038 8.179 9.306
2.890 1.970 0.146
0.258 7.149 0.146
3.406 13.358 9.306
3.664 5.199 1.728
0.516 4.950 7.724
2.632 10.129 7.724
5.780 10.377 1.728
0.965 4.674 1.962
4.113 5.475 7.489
5.331 10.654 7.489
2.183 9.853 1.962
4.741 7.584 2.977
1.593 12.922 6.475
1.555 7.743 6.475
4.703 2.406 2.977
4.081 3.532 3.467
0.933 6.618 5.984
2.215 11.796 5.984
5.363 8.710 3.467
4.761 6.598 8.029
1.613 3.551 1.423
1.535 8.730 1.423
4.683 11.776 8.029
5.516 14.191 9.214
2.368 6.316 0.237
0.780 1.137 0.237
3.928 9.012 9.214
1.592 10.545 2.979
4.740 9.961 6.473
4.704 4.783 6.473
1.556 5.367 2.979
4.640 7.380 1.576
1.492 13.127 7.876
1.656 7.948 7.876
4.804 2.201 1.576
3.410 10.202 1.406
0.262 10.304 8.046
2.886 5.126 8.046
6.034 5.023 1.406
5.235 11.761 3.759
2.087 8.745 5.692
1.061 3.567 5.692
4.209 6.582 3.759
```

Output
DFT total energy ... -0.564 Ry per atom
Energy with MP2020 corrections ... -8.045 eV per atom

2.
Na2ZnB6O11: relaxed, PBE-GGA.

Geometry as POSCAR:
```
Na2ZnB6O11
1.0
3.737 5.434 0.000
-3.737 5.434 0.000
0.000 4.371 10.748
Na Zn B O
4 2 12 22
Cartesian
-0.688 6.325 1.089
0.688 8.511 6.463
0.645 3.497 1.814
-0.645 5.683 7.187
-2.755 8.159 9.490
2.755 5.973 4.116
0.192 5.707 10.523
-0.192 3.522 5.149
2.215 6.065 6.928
-2.215 3.880 1.554
-1.561 12.248 9.313
1.561 10.062 3.939
2.202 9.505 9.633
-2.202 7.319 4.259
-2.284 7.986 6.660
2.284 5.800 1.286
0.165 10.629 8.460
-0.165 8.444 3.086
-0.317 4.959 9.490
0.317 2.774 4.116
1.541 6.626 7.998
-1.541 4.440 2.624
1.255 6.560 10.435
-1.255 4.375 5.061
-0.396 10.693 7.175
0.396 8.508 1.801
-0.355 1.217 1.056
0.355 3.402 6.430
2.755 8.162 9.404
-2.755 5.977 4.030
-1.746 4.126 0.313
1.746 6.312 5.687
-0.375 11.335 9.497
0.375 9.149 4.123
1.277 9.838 8.538
-1.277 7.653 3.164
-1.842 7.697 7.895
1.842 5.511 2.522
1.597 5.253 0.214
-1.597 7.439 5.588
```

Output
DFT total energy ... -0.531 Ry per atom
Energy with MP2020 corrections ... -7.607 eV per atom

3.
Na2ZnB6O11: relaxed, PBE-GGA.

Geometry as POSCAR:
```
Na2ZnB6O11
1.0
3.742 5.448 0.000
-3.742 5.448 0.000
0.000 4.382 10.769
Na Zn B O
4 2 12 22
Cartesian
-0.664 6.199 5.755
0.664 4.008 0.371
0.664 9.079 5.014
-0.664 11.270 10.398
-2.755 8.735 8.077
2.755 6.544 2.692
0.177 11.189 7.044
-0.177 8.998 1.660
2.241 10.795 10.638
-2.241 8.604 5.254
2.182 10.071 8.246
-2.182 7.880 2.862
2.182 7.398 7.907
-2.182 5.207 2.523
-2.241 4.483 0.131
2.241 6.674 5.515
0.177 6.280 9.109
-0.177 4.089 3.725
-0.345 11.919 8.079
0.345 9.728 2.694
1.563 10.232 9.570
-1.563 8.041 4.186
1.257 10.358 7.134
-1.257 8.167 1.750
-0.387 6.174 10.399
0.387 3.983 5.014
-0.387 11.296 5.755
0.387 9.105 0.370
2.759 8.735 8.077
-2.759 6.544 2.692
-1.779 8.351 6.496
1.779 6.160 1.112
-0.345 5.550 8.074
0.345 3.359 2.690
1.257 7.112 9.019
-1.257 4.921 3.635
-1.779 9.118 9.657
1.779 6.927 4.273
1.563 7.237 6.583
-1.563 5.046 1.199
```

Output
DFT total energy ... -0.531 Ry per atom
Energy with MP2020 corrections ... -7.607 eV per atom